[1]
{"formula": "TmCoC2", "functional": "GGA-PBE", "state": "relaxed", "formation_enthalpy_0k_ev_per_atom": -0.36, "lattice": [[2.247, -2.981, 0.000], [2.247, 2.981, 0.000], [0.000, 0.000, 3.480]], "species": ["Co", "C", "Tm", "C"], "frac_coords": [[0.390, 0.610, 0.500], [0.548, 0.145, 0.500], [0.007, 0.993, 0.000], [0.855, 0.452, 0.500]]}



[2]
{"formula": "K5Na3Ta8O24", "functional": "GGA-PBE", "state": "relaxed", "formation_enthalpy_0k_ev_per_atom": -3.07, "lattice": [[8.031, 0.000, 0.000], [0.000, 8.031, 0.000], [0.000, 0.000, 8.030]], "species": ["O", "O", "O", "Na", "K", "O", "K", "O", "Ta", "Ta", "Ta", "O", "O", "Ta", "O", "Ta", "K", "O", "O", "O", "O", "K", "O", "O", "Na", "O", "Na", "O", "O", "O", "O", "Ta", "O", "Ta", "O", "O", "O", "K", "O", "Ta"], "frac_coords": [[0.751, 0.249, 0.500], [0.250, 0.750, 0.000], [0.750, 0.000, 0.252], [0.000, 0.000, 0.500], [0.500, 0.500, 0.500], [0.750, 0.750, 0.000], [0.000, 0.000, 0.000], [0.250, 0.000, 0.748], [0.750, 0.250, 0.251], [0.750, 0.250, 0.749], [0.250, 0.250, 0.251], [0.249, 0.500, 0.251], [0.249, 0.500, 0.749], [0.750, 0.750, 0.251], [0.750, 0.000, 0.748], [0.250, 0.750, 0.749], [0.500, 0.500, 0.000], [0.000, 0.750, 0.252], [0.250, 0.000, 0.252], [0.750, 0.250, 0.000], [0.249, 0.249, 0.500], [0.000, 0.500, 0.000], [0.000, 0.250, 0.748], [0.751, 0.751, 0.500], [0.000, 0.500, 0.500], [0.751, 0.500, 0.749], [0.500, 0.000, 0.500], [0.500, 0.249, 0.749], [0.250, 0.250, 0.000], [0.249, 0.751, 0.500], [0.500, 0.751, 0.251], [0.750, 0.750, 0.749], [0.751, 0.500, 0.251], [0.250, 0.750, 0.251], [0.500, 0.249, 0.251], [0.000, 0.250, 0.252], [0.500, 0.751, 0.749], [0.500, 0.000, 0.000], [0.000, 0.750, 0.748], [0.250, 0.250, 0.749]]}



[3]
{"formula": "U4Si3Mo", "functional": "GGA-PBE", "state": "relaxed", "formation_enthalpy_0k_ev_per_atom": -0.31, "lattice": [[0.000, 0.000, 5.307], [-5.329, 5.329, 2.653], [-5.329, -5.329, 2.653]], "species": ["U", "Si", "Si", "U", "U", "U", "Si", "U", "U", "U", "U", "Mo", "Si", "Si", "Mo", "Si"], "frac_coords": [[0.903, 0.866, 0.328], [0.647, 0.206, 0.500], [0.147, 0.500, 0.206], [0.269, 0.134, 0.328], [0.403, 0.328, 0.866], [0.731, 0.866, 0.672], [0.250, 0.000, 0.000], [0.231, 0.672, 0.866], [0.769, 0.328, 0.134], [0.097, 0.134, 0.672], [0.597, 0.672, 0.134], [0.250, 0.500, 0.500], [0.750, 0.000, 0.000], [0.853, 0.500, 0.794], [0.750, 0.500, 0.500], [0.353, 0.794, 0.500]]}



[4]
{"formula": "CsLaMg6", "functional": "GGA-PBE", "state": "relaxed", "relative_energy_ev_per_fu": 0.00, "formation_enthalpy_0k_ev_per_atom": 0.21, "lattice": [[3.925, -6.644, 0.000], [3.925, 6.644, 0.000], [0.000, 0.000, 5.001]], "species": ["Cs", "Mg", "Mg", "Mg", "Mg", "La", "Mg", "Mg"], "frac_coords": [[0.288, 0.712, 0.500], [0.253, 0.344, 0.000], [0.689, 0.311, 0.000], [0.077, 0.923, 0.000], [0.389, 0.221, 0.500], [0.887, 0.113, 0.500], [0.779, 0.611, 0.500], [0.656, 0.747, 0.000]]}



[5]
{"formula": "TbAl6Cu6", "functional": "GGA-PBE", "state": "relaxed", "formation_enthalpy_0k_ev_per_atom": -0.36, "lattice": [[-2.538, 4.286, 4.344], [2.538, -4.286, 4.344], [2.538, 4.286, -4.344]], "species": ["Cu", "Cu", "Al", "Al", "Al", "Cu", "Cu", "Al", "Cu", "Al", "Cu", "Tb", "Al"], "frac_coords": [[0.500, 0.000, 0.000], [0.500, 0.500, 0.500], [0.654, 0.000, 0.654], [0.651, 0.651, 0.000], [0.206, 0.706, 0.500], [0.227, 0.500, 0.727], [0.000, 0.000, 0.500], [0.349, 0.349, 0.000], [0.773, 0.500, 0.273], [0.346, 0.000, 0.346], [0.000, 0.500, 0.000], [0.000, 0.000, 0.000], [0.794, 0.294, 0.500]]}



[6]
{"formula": "B", "functional": "GGA-PBE", "state": "relaxed", "relative_energy_ev_per_fu": 0.00, "formation_enthalpy_0k_ev_per_atom": 0.00, "lattice": [[4.416, -2.450, 0.000], [4.416, 2.450, 0.000], [3.057, 0.000, 4.020]], "species": ["B", "B", "B", "B", "B", "B", "B", "B", "B", "B", "B", "B"], "frac_coords": [[0.370, 0.779, 0.779], [0.010, 0.654, 0.010], [0.221, 0.221, 0.630], [0.654, 0.010, 0.010], [0.779, 0.779, 0.370], [0.630, 0.221, 0.221], [0.779, 0.370, 0.779], [0.221, 0.630, 0.221], [0.990, 0.346, 0.990], [0.990, 0.990, 0.346], [0.010, 0.010, 0.654], [0.346, 0.990, 0.990]]}



[7]
{"formula": "KLiTi2P2O10", "functional": "GGA-PBE", "state": "relaxed", "relative_energy_ev_per_fu": 0.00, "formation_enthalpy_0k_ev_per_atom": -3.03, "lattice": [[-2.085, 1.017, -6.080], [8.665, -4.987, -3.806], [-6.294, -11.159, 0.292]], "species": ["O", "O", "O", "Li", "O", "O", "O", "O", "Ti", "K", "O", "O", "O", "O", "O", "O", "O", "P", "O", "Ti", "P", "O", "O", "O", "Ti", "P", "O", "O", "O", "O", "P", "K", "O", "O", "O", "P", "Ti", "O", "P", "O", "O", "O", "O", "Li", "Ti", "O", "P", "O", "K", "Ti", "O", "O", "O", "Li", "Ti", "P", "O", "Ti", "O", "K", "O", "O", "Li", "O"], "frac_coords": [[0.033, 0.141, 0.777], [0.815, 0.039, 0.382], [0.027, 0.387, 0.005], [0.542, 0.029, 0.606], [0.208, 0.274, 0.400], [0.708, 0.774, 0.100], [0.546, 0.884, 0.274], [0.513, 0.648, 0.505], [0.496, 0.504, 0.635], [0.690, 0.300, 0.900], [0.315, 0.539, 0.118], [0.685, 0.039, 0.882], [0.304, 0.983, 0.884], [0.802, 0.751, 0.405], [0.196, 0.983, 0.384], [0.533, 0.641, 0.723], [0.013, 0.148, 0.995], [0.344, 0.263, 0.499], [0.792, 0.774, 0.600], [0.996, 0.004, 0.865], [0.844, 0.763, 0.001], [0.292, 0.274, 0.900], [0.533, 0.902, 0.738], [0.451, 0.124, 0.740], [0.271, 0.257, 0.246], [0.493, 0.012, 0.816], [0.698, 0.751, 0.905], [0.467, 0.402, 0.262], [0.473, 0.387, 0.505], [0.954, 0.884, 0.774], [0.656, 0.763, 0.501], [0.310, 0.800, 0.100], [0.951, 0.624, 0.760], [0.033, 0.402, 0.762], [0.527, 0.887, 0.495], [0.993, 0.512, 0.684], [0.229, 0.257, 0.746], [0.804, 0.483, 0.616], [0.156, 0.263, 0.999], [0.185, 0.539, 0.618], [0.967, 0.641, 0.223], [0.046, 0.384, 0.226], [0.049, 0.124, 0.240], [0.958, 0.029, 0.106], [0.729, 0.757, 0.754], [0.467, 0.141, 0.277], [0.507, 0.512, 0.184], [0.967, 0.902, 0.238], [0.810, 0.300, 0.400], [0.004, 0.504, 0.135], [0.973, 0.887, 0.995], [0.302, 0.251, 0.095], [0.454, 0.384, 0.726], [0.458, 0.529, 0.394], [0.504, 0.004, 0.365], [0.007, 0.012, 0.316], [0.549, 0.624, 0.260], [0.771, 0.757, 0.254], [0.987, 0.648, 0.005], [0.190, 0.800, 0.600], [0.198, 0.251, 0.595], [0.487, 0.148, 0.495], [0.042, 0.529, 0.894], [0.696, 0.483, 0.116]]}



[8]
{"formula": "La6CoCl11", "functional": "GGA-PBE", "state": "relaxed", "formation_enthalpy_0k_ev_per_atom": -2.38, "lattice": [[11.450, 0.000, 0.000], [0.000, 11.450, 0.000], [0.000, 0.000, 14.650]], "species": ["Cl", "La", "Cl", "Co", "La", "Cl", "La", "Cl", "Cl", "Cl", "Cl", "Cl", "Cl", "Cl", "Cl", "Cl", "Cl", "La", "Cl", "Cl", "La", "Cl", "La", "La", "Cl", "La", "Co", "La", "La", "Cl", "La", "La", "Cl", "Cl", "Cl", "Cl", "La", "La", "Co", "La", "Cl", "Cl", "Cl", "Cl", "La", "Cl", "Cl", "La", "Cl", "La", "Cl", "Cl", "Cl", "Cl", "La", "Cl", "La", "Cl", "La", "Cl", "Cl", "Cl", "Cl", "La", "Cl", "La", "La", "Co", "Cl", "Cl", "Cl", "Cl"], "frac_coords": [[0.949, 0.747, 0.951], [0.269, 0.488, 0.259], [0.140, 0.488, 0.097], [0.250, 0.250, 0.750], [0.988, 0.231, 0.759], [0.252, 0.898, 0.757], [0.258, 0.109, 0.874], [0.488, 0.860, 0.903], [0.449, 0.247, 0.549], [0.752, 0.398, 0.743], [0.602, 0.752, 0.257], [0.000, 0.500, 0.833], [0.500, 0.000, 0.167], [0.319, 0.267, 0.032], [0.000, 0.000, 0.373], [0.500, 0.500, 0.873], [0.767, 0.181, 0.532], [0.436, 0.763, 0.102], [0.819, 0.767, 0.468], [0.500, 0.500, 0.356], [0.769, 0.988, 0.241], [0.551, 0.753, 0.549], [0.758, 0.609, 0.626], [0.737, 0.936, 0.602], [0.051, 0.253, 0.951], [0.391, 0.758, 0.374], [0.750, 0.250, 0.250], [0.237, 0.436, 0.898], [0.488, 0.731, 0.741], [0.512, 0.140, 0.903], [0.012, 0.769, 0.759], [0.742, 0.891, 0.874], [0.000, 0.000, 0.144], [0.500, 0.500, 0.644], [0.898, 0.748, 0.243], [0.398, 0.248, 0.257], [0.242, 0.391, 0.626], [0.263, 0.064, 0.602], [0.250, 0.750, 0.250], [0.763, 0.564, 0.898], [0.247, 0.551, 0.451], [0.102, 0.252, 0.243], [0.248, 0.602, 0.743], [0.000, 0.500, 0.333], [0.231, 0.012, 0.241], [0.747, 0.051, 0.049], [0.988, 0.360, 0.597], [0.609, 0.242, 0.374], [0.253, 0.949, 0.049], [0.512, 0.269, 0.741], [0.681, 0.733, 0.032], [0.500, 0.000, 0.667], [0.753, 0.449, 0.451], [0.233, 0.819, 0.532], [0.564, 0.237, 0.102], [0.360, 0.012, 0.403], [0.731, 0.512, 0.259], [0.733, 0.319, 0.968], [0.936, 0.263, 0.398], [0.267, 0.681, 0.968], [0.000, 0.000, 0.856], [0.860, 0.512, 0.097], [0.181, 0.233, 0.468], [0.891, 0.258, 0.126], [0.748, 0.102, 0.757], [0.064, 0.737, 0.398], [0.109, 0.742, 0.126], [0.750, 0.750, 0.750], [0.500, 0.500, 0.127], [0.012, 0.640, 0.597], [0.000, 0.000, 0.627], [0.640, 0.988, 0.403]]}



[9]
{"formula": "YMgNi4H4", "functional": "GGA-PBE", "state": "relaxed", "formation_enthalpy_0k_ev_per_atom": -0.28, "lattice": [[-4.862, -1.578, -1.161], [-3.852, 3.521, -0.485], [-2.032, 1.029, -4.721]], "species": ["H", "H", "Ni", "H", "Mg", "Ni", "H", "Y", "Ni", "Ni"], "frac_coords": [[0.839, 0.482, 0.839], [0.482, 0.839, 0.839], [0.618, 0.146, 0.618], [0.839, 0.839, 0.482], [0.250, 0.250, 0.250], [0.618, 0.618, 0.146], [0.839, 0.839, 0.839], [0.000, 0.000, 0.000], [0.618, 0.618, 0.618], [0.146, 0.618, 0.618]]}



[10]
{"formula": "KLaTiO4", "functional": "GGA-PBE", "state": "relaxed", "formation_enthalpy_0k_ev_per_atom": -3.39, "lattice": [[-2.565, 4.642, -1.250], [-0.031, -1.437, -5.273], [-12.012, -6.165, 1.751]], "species": ["La", "O", "La", "O", "K", "K", "O", "O", "O", "Ti", "O", "La", "O", "K", "O", "K", "La", "Ti", "O", "Ti", "Ti", "O", "O", "O", "O", "O", "O", "O"], "frac_coords": [[0.750, 0.490, 0.105], [0.750, 0.991, 0.389], [0.250, 0.510, 0.895], [0.750, 0.031, 0.067], [0.250, 0.006, 0.409], [0.250, 0.506, 0.591], [0.500, 0.250, 0.232], [0.000, 0.250, 0.776], [0.500, 0.250, 0.776], [0.750, 0.998, 0.260], [0.250, 0.009, 0.611], [0.250, 0.010, 0.105], [0.250, 0.469, 0.067], [0.750, 0.994, 0.591], [0.000, 0.750, 0.768], [0.750, 0.494, 0.409], [0.750, 0.990, 0.895], [0.250, 0.502, 0.260], [0.250, 0.509, 0.389], [0.750, 0.498, 0.740], [0.250, 0.002, 0.740], [0.750, 0.531, 0.933], [0.000, 0.750, 0.224], [0.250, 0.969, 0.933], [0.500, 0.750, 0.768], [0.500, 0.750, 0.224], [0.000, 0.250, 0.232], [0.750, 0.491, 0.611]]}



[11]
{"formula": "SmC6", "functional": "GGA-PBE", "state": "relaxed", "formation_enthalpy_0k_ev_per_atom": -0.02, "lattice": [[2.165, -3.750, 0.000], [2.165, 3.750, 0.000], [0.000, 0.000, 4.673]], "species": ["C", "C", "C", "C", "C", "C", "Sm"], "frac_coords": [[0.667, 0.000, 0.500], [0.333, 0.000, 0.500], [0.000, 0.667, 0.500], [0.333, 0.333, 0.500], [0.000, 0.333, 0.500], [0.667, 0.667, 0.500], [0.000, 0.000, 0.000]]}



[12]
{"formula": "RuS2", "functional": "GGA-PBE", "state": "relaxed", "formation_enthalpy_0k_ev_per_atom": -0.89, "lattice": [[5.656, 0.000, 0.000], [0.000, 5.656, 0.000], [0.000, 0.000, 5.656]], "species": ["S", "S", "S", "Ru", "S", "Ru", "S", "Ru", "S", "S", "S", "Ru"], "frac_coords": [[0.613, 0.613, 0.613], [0.887, 0.113, 0.613], [0.387, 0.387, 0.387], [0.500, 0.000, 0.500], [0.113, 0.613, 0.887], [0.500, 0.500, 0.000], [0.113, 0.887, 0.387], [0.000, 0.000, 0.000], [0.613, 0.887, 0.113], [0.387, 0.113, 0.887], [0.887, 0.387, 0.113], [0.000, 0.500, 0.500]]}